1.
Here is a geometry-optimized VCdClO3 structure from the Materials Project. Energies are from GGA+U.

a = 16.0961 Å, b = 3.7015 Å, c = 6.9996 Å
α = 90.00°, β = 90.00°, γ = 90.00°
Sites, in units of the cell vectors:
V (0.0035, 0.2500, 0.1808)
V (0.4965, 0.7500, 0.6808)
V (0.5035, 0.2500, 0.3192)
V (0.9965, 0.7500, 0.8192)
Cd (0.1681, 0.7500, 0.4237)
Cd (0.3319, 0.2500, 0.9237)
Cd (0.6681, 0.7500, 0.0763)
Cd (0.8319, 0.2500, 0.5763)
Cl (0.2319, 0.7500, 0.0575)
Cl (0.2681, 0.2500, 0.5575)
Cl (0.7319, 0.7500, 0.4425)
Cl (0.7681, 0.2500, 0.9425)
O (0.0082, 0.7500, 0.1042)
O (0.0793, 0.7500, 0.6791)
O (0.0930, 0.2500, 0.3166)
O (0.4070, 0.7500, 0.8166)
O (0.4207, 0.2500, 0.1791)
O (0.4918, 0.2500, 0.6042)
O (0.5082, 0.7500, 0.3958)
O (0.5793, 0.7500, 0.8209)
O (0.5930, 0.2500, 0.1834)
O (0.9070, 0.7500, 0.6834)
O (0.9207, 0.2500, 0.3209)
O (0.9918, 0.2500, 0.8958)

As for the crystal system: orthorhombic. Its space group is Pnma, No. 62. The formation energy from the elements is -1903 meV per atom.

---

2.
Here is a geometry-optimized CdCoF5 structure from the Materials Project. Energies are from GGA+U.

a = 5.6364 Å, b = 5.6364 Å, c = 7.9193 Å
α = 110.66°, β = 110.66°, γ = 72.76°
Sites, in units of the cell vectors:
Cd (0.0000, 0.0000, 0.0000)
Cd (0.0000, 0.0000, 0.5000)
Co (0.4848, 0.5152, 0.7500)
Co (0.5152, 0.4848, 0.2500)
F (0.1502, 0.8498, 0.7500)
F (0.2270, 0.3350, 0.6500)
F (0.3075, 0.6666, 0.0687)
F (0.3334, 0.6925, 0.4313)
F (0.3350, 0.2270, 0.1500)
F (0.6650, 0.7730, 0.8500)
F (0.6666, 0.3075, 0.5687)
F (0.6925, 0.3334, 0.9313)
F (0.7730, 0.6650, 0.3500)
F (0.8498, 0.1502, 0.2500)

As for the crystal system: monoclinic. Its space group is C2/c, No. 15. The formation energy from the elements is -2139 meV per atom.

---

no.,final energy (eV/atom)
1,-5.7256
2,-4.0896